1.
Entry from Materials Project: crystalline CdH7C3NO6 at its relaxed geometry (PBE-GGA).

abc: 7.124 9.731 11.132
angles: 90.00 90.00 90.00
Space group Pna2_1 (No. 33)
Symmetry-distinct sites (fractional):
1 Cd 0.101 0.005 0.000
2 H 0.009 0.407 0.195
3 H 0.042 0.260 0.846
4 H 0.127 0.728 0.123
5 H 0.161 0.337 0.295
6 H 0.189 0.303 0.148
7 H 0.220 0.517 0.860
8 H 0.237 0.460 0.200
9 C 0.061 0.709 0.417
10 C 0.185 0.031 0.283
11 C 0.243 0.707 0.059
12 N 0.148 0.376 0.210
13 O 0.010 0.033 0.301
14 O 0.076 0.788 0.508
15 O 0.151 0.600 0.396
16 O 0.167 0.096 0.578
17 O 0.227 0.295 0.476
18 O 0.235 0.545 0.680

Formation energy from the elements = -1070.4 meV/atom

---

2.
Entry from Materials Project: crystalline CdH14C8N2O6 at its relaxed geometry (PBE-GGA).

abc: 16.214 8.141 10.629
angles: 90.00 90.00 90.00
Space group Pbcn (No. 60)
Symmetry-distinct sites (fractional):
1 Cd 0.000 0.167 0.250
2 H 0.082 0.483 0.122
3 H 0.142 0.307 0.548
4 H 0.165 0.154 0.665
5 H 0.190 0.253 0.890
6 H 0.201 0.470 0.911
7 H 0.223 0.142 0.325
8 H 0.246 0.280 0.603
9 C 0.041 0.047 0.982
10 C 0.111 0.483 0.216
11 C 0.180 0.277 0.631
12 C 0.211 0.368 0.847
13 N 0.166 0.396 0.730
14 O 0.071 0.145 0.063
15 O 0.073 0.019 0.875
16 O 0.094 0.378 0.299

Formation energy from the elements = -634.5 meV/atom

---

3.
Entry from Materials Project: crystalline CdH20C4S4N2O12 at its relaxed geometry (PBE-GGA).

abc: 7.694 8.163 8.564
angles: 70.61 75.21 64.08
Space group P-1 (No. 2)
Symmetry-distinct sites (fractional):
1 Cd 0.000 0.000 0.000
2 H 0.098 0.602 0.178
3 H 0.129 0.069 0.522
4 H 0.163 0.698 0.273
5 H 0.291 0.123 0.783
6 H 0.304 0.712 0.762
7 H 0.316 0.163 0.448
8 H 0.355 0.943 0.410
9 H 0.357 0.472 0.885
10 H 0.421 0.918 0.880
11 H 0.495 0.479 0.312
12 C 0.249 0.082 0.423
13 C 0.359 0.565 0.759
14 S 0.153 0.205 0.231
15 S 0.206 0.540 0.651
16 N 0.008 0.415 0.241
17 O 0.051 0.098 0.210
18 O 0.151 0.701 0.160
19 O 0.204 0.671 0.485
20 O 0.281 0.342 0.651
21 O 0.293 0.994 0.839
22 O 0.314 0.221 0.101

Formation energy from the elements = -853.8 meV/atom

---

4.
Entry from Materials Project: crystalline CdH2C4S6N4 at its relaxed geometry (PBE-GGA).

abc: 13.029 11.934 8.052
angles: 90.00 90.00 90.00
Space group Pbcn (No. 60)
Symmetry-distinct sites (fractional):
1 Cd 0.000 0.142 0.250
2 H 0.170 0.158 0.585
3 C 0.092 0.311 0.577
4 C 0.249 0.393 0.705
5 S 0.025 0.279 0.999
6 S 0.129 0.445 0.639
7 S 0.161 0.021 0.295
8 N 0.172 0.243 0.605
9 N 0.241 0.215 0.176

Formation energy from the elements = -160.9 meV/atom

---

5.
Entry from Materials Project: crystalline CdH4C4S4N6 at its relaxed geometry (PBE-GGA).

abc: 13.412 10.955 8.056
angles: 90.00 95.87 90.00
Space group C2/c (No. 15)
Symmetry-distinct sites (fractional):
1 Cd 0.000 0.080 0.250
2 H 0.067 0.446 0.118
3 H 0.160 0.488 0.276
4 C 0.111 0.374 0.619
5 C 0.118 0.154 0.581
6 S 0.140 0.001 0.079
7 S 0.171 0.254 0.734
8 N 0.057 0.337 0.481
9 N 0.062 0.213 0.463
10 N 0.120 0.492 0.666

Formation energy from the elements = -189.1 meV/atom